[1]
# Sc5Pb3

A geometry-optimized Sc5Pb3 structure (PBE, Materials Project).

The structure in POSCAR format:
```
Sc5Pb3
1.0
-4.999 6.953 0.312
-2.960 -7.253 -3.473
-2.134 -1.783 5.541
Pb Sc
6 10
Direct
0.393 0.000 0.750
0.607 0.000 0.250
0.000 0.393 0.750
0.393 0.393 0.250
0.000 0.607 0.250
0.607 0.607 0.750
0.000 0.765 0.750
0.765 0.000 0.750
0.667 0.333 0.500
0.235 0.235 0.750
0.333 0.667 0.500
0.333 0.667 0.000
0.765 0.765 0.250
0.000 0.235 0.250
0.235 0.000 0.250
0.667 0.333 0.000
```

Results
total energy = -93.101 eV per cell
density = 7.130 g/cm3
volume = 394.23 Å³ per cell

=====

[2]
# Sm2PbSe4

A geometry-optimized Sm2PbSe4 structure (PBE, Materials Project).

The structure in POSCAR format:
```
Sm2PbSe4
1.0
-4.506 4.506 4.498
4.506 -4.506 4.498
4.506 4.506 -4.498
Se Sm Pb
8 4 2
Direct
0.862 0.615 0.098
0.236 0.138 0.753
0.014 0.267 0.402
0.865 0.612 0.598
0.517 0.764 0.902
0.385 0.483 0.247
0.388 0.986 0.253
0.733 0.135 0.747
0.495 0.375 0.620
0.625 0.245 0.120
0.755 0.875 0.380
0.125 0.505 0.880
0.000 0.000 0.000
0.250 0.750 0.500
```

Results
total energy = -74.767 eV per cell
density = 7.489 g/cm3
volume = 365.30 Å³ per cell

=====

[3]
# Sn2PbSe3

A geometry-optimized Sn2PbSe3 structure (PBE, Materials Project).

The structure in POSCAR format:
```
Sn2PbSe3
1.0
2.159 -3.739 0.000
2.159 3.739 0.000
0.000 0.000 10.590
Se Sn Pb
3 2 1
Direct
0.667 0.333 0.827
0.333 0.667 0.173
0.000 0.000 0.500
0.667 0.333 0.335
0.333 0.667 0.665
0.000 0.000 0.000
```

Results
total energy = -25.034 eV per cell
density = 6.618 g/cm3
volume = 170.99 Å³ per cell

=====

[4]
# SnTePbSe

A geometry-optimized SnTePbSe structure (PBE, Materials Project).

The structure in POSCAR format:
```
SnTePbSe
1.0
-4.311 0.130 1.248
-1.043 -2.853 -3.306
0.985 -4.887 3.908
Se Sn Te Pb
1 1 1 1
Direct
0.000 0.000 0.500
0.500 0.500 0.500
0.500 0.500 0.000
0.000 0.000 0.000
```

Results
relative energy among the computed polymorphs = 37 meV/atom
density = 6.925 g/cm3
volume = 127.69 Å³ per cell

=====

[5]
# SnTePbSe

A geometry-optimized SnTePbSe structure (PBE, Materials Project).

The structure in POSCAR format:
```
SnTePbSe
1.0
-2.638 5.118 5.188
-6.013 4.275 2.374
-5.085 1.405 5.678
Te Se Sn Pb
1 1 1 1
Direct
0.247 0.247 0.247
0.752 0.752 0.752
0.495 0.495 0.495
0.005 0.005 0.005
```

Results
relative energy among the computed polymorphs = 0 meV/atom
density = 6.981 g/cm3
volume = 126.66 Å³ per cell

=====

[6]
# TaPbSe2

A geometry-optimized TaPbSe2 structure (PBE, Materials Project).

The structure in POSCAR format:
```
TaPbSe2
1.0
1.742 -3.017 0.000
1.742 3.017 0.000
0.000 0.000 9.476
Pb Ta Se
1 1 2
Direct
0.667 0.333 0.000
0.000 0.000 0.500
0.667 0.333 0.675
0.667 0.333 0.325
```

Results
total energy = -25.147 eV per cell
density = 9.106 g/cm3
volume = 99.58 Å³ per cell